1.
SmNi2Sn2 | the Materials Project database | r²SCAN | relaxed; total magnetization = 0.00 μB/cell; E = -21.172 eV per atom; energy of formation = -0.53 eV/atom
1.0
-1.709 -1.900 -3.540
-2.651 -2.356 2.545
-7.048 7.345 -0.541
Sm Ni Sn
2 4 4
Direct
0.000 0.500 0.239
0.500 0.000 0.761
0.000 0.000 0.000
0.500 0.500 0.000
0.000 0.500 0.630
0.500 0.000 0.370
0.000 0.000 0.500
0.500 0.500 0.500
0.000 0.500 0.874
0.500 0.000 0.126



2.
Nb2MoRu | the Materials Project database | r²SCAN | relaxed; total magnetization = 0.00 μB/cell; E = -25.493 eV per atom; energy of formation = -0.25 eV/atom
1.0
0.000 3.200 3.200
3.200 0.000 3.200
3.200 3.200 0.000
Nb Mo Ru
2 1 1
Direct
0.250 0.250 0.250
0.750 0.750 0.750
0.500 0.500 0.500
0.000 0.000 0.000



3.
ZrScTc2 | the Materials Project database | r²SCAN | relaxed; total magnetization = 0.00 μB/cell; E = -21.740 eV per atom; energy of formation = -0.22 eV/atom
1.0
3.241 -3.197 0.699
2.443 0.013 3.905
-0.663 -3.302 3.142
Zr Sc Tc
1 1 2
Direct
0.000 0.000 0.000
0.500 0.500 0.500
0.250 0.250 0.250
0.750 0.750 0.750



4.
Y2Br3 | the Materials Project database | r²SCAN | relaxed; total magnetization = 0.00 μB/cell; E = -17.845 eV per atom; energy of formation = -1.76 eV/atom
1.0
0.000 -3.927 0.000
7.232 -1.964 -4.204
7.178 -1.964 6.646
Y Br
4 6
Direct
0.920 0.705 0.455
0.080 0.295 0.545
0.634 0.517 0.214
0.366 0.483 0.786
0.839 0.314 0.008
0.161 0.686 0.992
0.724 0.171 0.381
0.276 0.829 0.619
0.455 0.852 0.237
0.545 0.148 0.763



5.
CeCo3B2 | the Materials Project database | r²SCAN | relaxed; total magnetization = 0.67 μB/cell; E = -14.599 eV per atom; energy of formation = -0.39 eV/atom
1.0
5.119 0.000 0.000
-2.559 4.433 0.000
0.000 0.000 2.891
Ce Co B
1 3 2
Direct
0.000 0.000 0.000
0.500 0.000 0.500
0.500 0.500 0.500
0.000 0.500 0.500
0.333 0.667 0.000
0.667 0.333 0.000



6.
DyCoC | the Materials Project database | r²SCAN | relaxed; total magnetization = 2.03 μB/cell; E = -18.759 eV per atom; energy of formation = -0.37 eV/atom
1.0
3.624 0.000 0.000
0.000 3.624 0.000
0.000 0.000 6.873
Dy Co C
2 2 2
Direct
0.000 0.000 0.750
0.000 0.000 0.250
0.500 0.500 0.000
0.500 0.500 0.500
0.500 0.000 0.500
0.000 0.500 0.000



7.
YZnSn2 | the Materials Project database | r²SCAN | relaxed; total magnetization = 0.00 μB/cell; E = -20.161 eV per atom; energy of formation = -0.48 eV/atom
1.0
4.336 0.000 0.000
0.000 4.336 0.000
0.000 0.000 9.902
Y Zn Sn
2 2 4
Direct
0.000 0.500 0.751
0.500 0.000 0.249
0.000 0.000 0.500
0.500 0.500 0.500
0.000 0.000 0.000
0.500 0.500 0.000
0.000 0.500 0.322
0.500 0.000 0.678



8.
Ba9Nb10O30 | the Materials Project database | r²SCAN | relaxed; total magnetization = 0.00 μB/cell; E = -16.579 eV per atom; energy of formation = -3.01 eV/atom
1.0
-9.201 0.012 0.018
1.849 9.018 -0.010
-0.017 -3.757 -8.396
Ba Nb O
9 10 30
Direct
0.198 0.000 0.395
0.395 0.000 0.802
0.605 0.000 0.198
0.098 0.495 0.199
0.802 0.000 0.605
0.300 0.500 0.601
0.500 0.500 0.000
0.700 0.500 0.399
0.902 0.505 0.801
0.049 0.753 0.604
0.247 0.753 0.000
0.147 0.247 0.802
0.346 0.246 0.197
0.450 0.750 0.400
0.654 0.754 0.803
0.550 0.250 0.600
0.853 0.753 0.198
0.753 0.247 0.000
0.951 0.247 0.396
0.101 0.000 0.695
0.153 0.253 0.305
0.152 0.746 0.797
0.050 0.250 0.600
0.305 0.000 0.101
0.200 0.500 0.900
0.350 0.250 0.700
0.051 0.746 0.102
0.350 0.750 0.200
0.254 0.253 0.000
0.400 0.500 0.300
0.500 0.000 0.500
0.550 0.250 0.100
0.250 0.750 0.500
0.550 0.750 0.600
0.450 0.250 0.400
0.695 0.000 0.899
0.600 0.500 0.700
0.750 0.250 0.500
0.450 0.750 0.900
0.746 0.747 0.000
0.650 0.250 0.800
0.899 0.000 0.305
0.800 0.500 0.100
0.949 0.254 0.898
0.650 0.750 0.300
0.950 0.750 0.400
0.848 0.254 0.203
0.000 0.500 0.500
0.847 0.747 0.695



9.
LiRh3 | the Materials Project database | r²SCAN | relaxed; total magnetization = 0.00 μB/cell; E = -18.846 eV per atom; energy of formation = -0.15 eV/atom
1.0
1.253 -0.464 2.301
2.142 -3.653 -1.904
4.927 0.484 -1.047
Li Rh
1 3
Direct
0.000 0.013 0.000
0.245 0.939 0.511
0.755 0.450 0.489
0.500 0.502 0.000



10.
Y2CrSbO7 | the Materials Project database | r²SCAN | relaxed; total magnetization = 6.00 μB/cell; E = -14.136 eV per atom; energy of formation = -2.93 eV/atom
1.0
-5.104 -0.022 -5.076
5.082 -5.082 0.000
-5.125 -5.125 0.000
Y Cr Sb O
4 2 2 14
Direct
0.500 0.500 0.000
0.500 0.000 0.000
0.000 0.000 0.500
0.000 0.000 0.000
0.500 0.000 0.500
0.500 0.500 0.500
0.000 0.500 0.000
0.000 0.500 0.500
0.256 0.128 0.122
0.744 0.872 0.878
0.676 0.838 0.412
0.839 0.419 0.831
0.252 0.830 0.835
0.252 0.422 0.413
0.252 0.422 0.835
0.252 0.830 0.413
0.324 0.162 0.588
0.161 0.581 0.169
0.748 0.170 0.165
0.748 0.578 0.587
0.748 0.578 0.165
0.748 0.170 0.587



11.
AcNd3 | the Materials Project database | r²SCAN | relaxed; total magnetization = 0.00 μB/cell; E = -39.186 eV per atom; energy of formation = 0.04 eV/atom
1.0
3.836 -6.644 0.000
3.836 6.644 0.000
0.000 0.000 6.019
Ac Nd
2 6
Direct
0.333 0.667 0.750
0.667 0.333 0.250
0.164 0.327 0.250
0.673 0.836 0.250
0.164 0.836 0.250
0.836 0.673 0.750
0.327 0.164 0.750
0.836 0.164 0.750



12.
RbFe2As2 | the Materials Project database | r²SCAN | relaxed; total magnetization = 3.10 μB/cell; E = -14.662 eV per atom; energy of formation = -0.23 eV/atom
1.0
-4.012 2.370 6.661
-6.872 -1.125 4.195
6.573 -2.499 -4.079
Rb Fe As
1 2 2
Direct
0.000 0.000 0.000
0.750 0.250 0.500
0.250 0.750 0.500
0.350 0.350 0.000
0.650 0.650 0.000



> Among the records above, which one has the lowest energy of formation?

Ba9Nb10O30



> Among the records above, which one has the highest total magnetization?

Y2CrSbO7



> Among the records above, which one has the lowest E?

AcNd3